(1)
DFT (PBE) results for an optimized crystal structure of BeF4.

Cell lengths 5.9492, 7.8390, 10.5495 Å; angles 90.00, 90.00, 90.00 degrees
Last column: nearest neighbours and their distance in Å.
Fractional coordinates of all 20 atoms:
F (0.0305, 0.7957, 0.3592)  1 Be 1.54
F (0.7500, 0.9625, 0.9071)  1 Be 1.53
F (0.7500, 0.1890, 0.4466)  1 Be 1.53
F (0.9695, 0.7043, 0.8592)  1 Be 1.54
F (0.2500, 0.0375, 0.0929)  1 Be 1.53
F (0.0305, 0.2957, 0.1408)  1 Be 1.54
F (0.5305, 0.7043, 0.8592)  1 Be 1.54
F (0.4695, 0.2957, 0.1408)  1 Be 1.54
F (0.4695, 0.7957, 0.3592)  1 Be 1.54
F (0.7500, 0.4625, 0.5929)  1 Be 1.53
F (0.2500, 0.8110, 0.5534)  1 Be 1.53
F (0.2500, 0.5375, 0.4071)  1 Be 1.53
F (0.2500, 0.3110, 0.9466)  1 Be 1.53
F (0.5305, 0.2043, 0.6408)  1 Be 1.54
F (0.7500, 0.6890, 0.0534)  1 Be 1.53
F (0.9695, 0.2043, 0.6408)  1 Be 1.54
Be (0.2500, 0.7317, 0.4212)  4 F 1.53-1.54
Be (0.7500, 0.2683, 0.5788)  4 F 1.53-1.54
Be (0.2500, 0.2317, 0.0788)  4 F 1.53-1.54
Be (0.7500, 0.7683, 0.9212)  4 F 1.53-1.54

Output
The calculation puts the energy at -3.78 eV/atom. As for the total magnetization: 2.0 μB per formula unit.

=====

(2)
DFT (PBE) results for an optimized crystal structure of BeF2.

Cell lengths 6.9302, 7.1666, 12.6216 Å; angles 89.99, 90.09, 117.96 degrees
Last column: nearest neighbours and their distance in Å.
Fractional coordinates of all 48 atoms:
F (0.9600, 0.9730, 0.9818)  2 Be 1.53-1.60
F (0.4594, 0.4752, 0.0175)  2 Be 1.53-1.60
F (0.0354, 0.5203, 0.4830)  2 Be 1.53-1.60
F (0.7265, 0.2374, 0.8892)  2 Be 1.50-1.60
F (0.0075, 0.9367, 0.7771)  2 Be 1.55
F (0.4618, 0.7664, 0.3625)  1 Be 1.46
F (0.9616, 0.8609, 0.1768)  2 Be 1.56-1.61
F (0.9443, 0.6406, 0.9006)  2 Be 1.49-1.59
F (0.0299, 0.2351, 0.1354)  1 Be 1.45
F (0.1484, 0.4209, 0.8906)  2 Be 1.46-1.63
F (0.1942, 0.0111, 0.5961)  2 Be 1.57-1.59
F (0.5408, 0.1459, 0.3241)  2 Be 1.57-1.62
F (0.0537, 0.8564, 0.4014)  2 Be 1.49-1.60
F (0.5074, 0.4404, 0.2228)  2 Be 1.55
F (0.4525, 0.1447, 0.0978)  2 Be 1.49-1.60
F (0.5341, 0.7318, 0.8606)  1 Be 1.46
F (0.2284, 0.7412, 0.1116)  2 Be 1.50-1.60
F (0.6491, 0.9155, 0.1066)  2 Be 1.47-1.63
F (0.5514, 0.3576, 0.5992)  2 Be 1.49-1.59
F (0.8074, 0.4964, 0.0976)  2 Be 1.56-1.58
F (0.5426, 0.0271, 0.5188)  2 Be 1.53-1.60
F (0.2721, 0.2617, 0.3884)  2 Be 1.51-1.60
F (0.9914, 0.5615, 0.2773)  2 Be 1.55
F (0.8499, 0.0761, 0.3908)  1 Be 1.46
F (0.6933, 0.5134, 0.4035)  2 Be 1.56-1.59
F (0.9724, 0.2651, 0.6400)  1 Be 1.46
F (0.3063, 0.9837, 0.9045)  2 Be 1.56-1.59
F (0.0398, 0.6425, 0.6758)  2 Be 1.56-1.62
F (0.7734, 0.7616, 0.6117)  2 Be 1.50-1.60
F (0.4553, 0.3513, 0.8253)  2 Be 1.56-1.62
F (0.4955, 0.0630, 0.7233)  2 Be 1.55
F (0.3520, 0.5822, 0.6069)  2 Be 1.46-1.63
Be (0.0863, 0.4827, 0.6025)  3 F 1.46-1.62
Be (0.9437, 0.4335, 0.8930)  3 F 1.46-1.50
Be (0.5549, 0.5672, 0.6063)  3 F 1.46-1.50
Be (0.4921, 0.1529, 0.8346)  4 F 1.55-1.60
Be (0.9504, 0.6056, 0.3932)  4 F 1.53-1.60
Be (0.0550, 0.0645, 0.3925)  3 F 1.46-1.51
Be (0.9150, 0.0166, 0.1009)  3 F 1.45-1.61
Be (0.4515, 0.1079, 0.6079)  4 F 1.53-1.59
Be (0.5065, 0.3462, 0.3332)  4 F 1.55-1.60
Be (0.4468, 0.9352, 0.1072)  3 F 1.47-1.50
Be (0.4126, 0.5144, 0.8978)  4 F 1.46-1.63
Be (0.0073, 0.8436, 0.6665)  4 F 1.55-1.60
Be (0.0493, 0.8912, 0.8926)  4 F 1.53-1.59
Be (0.5506, 0.3960, 0.1073)  4 F 1.53-1.60
Be (0.5843, 0.9849, 0.3985)  3 F 1.46-1.62
Be (0.9960, 0.6609, 0.1677)  4 F 1.55-1.60

Output
The excess energy over the best structure of this formula in the dataset comes out at 0.1148 eV per atom. The calculation puts the energy at -5.65 eV/atom. As for the total magnetization: 0.0 μB per formula unit.

=====

Among the records above, which one has the highest energy?
BeF4